(1)
Mg6MnNbO8 | PBE with a Hubbard U | relaxed

- energy of formation (meV/atom) = -2629
- magnetization (μB/f.u.) = 3.44
- distance to the lowest polymorph of the same formula (meV per atom) = 0
- E (MP2020) (eV/atom) = -6.91
- ρ (g/cm³) = 4.25

a b c (Å): 4.335 4.335 8.767
angles (deg): 90.00 90.00 90.00
Space group P4/mmm (No. 123)
Asymmetric unit:
1 Mg 0.000 0.000 0.000 (multiplicity 1)
2 Mg 0.000 0.500 0.242 (multiplicity 4)
3 Mg 0.500 0.500 0.000 (multiplicity 1)
4 Mn 0.000 0.000 0.500 (multiplicity 1)
5 Nb 0.500 0.500 0.500 (multiplicity 1)
6 O 0.000 0.000 0.240 (multiplicity 2)
7 O 0.000 0.500 0.000 (multiplicity 2)
8 O 0.000 0.500 0.500 (multiplicity 2)
9 O 0.500 0.500 0.238 (multiplicity 2)

***

(2)
MgMn6Nb4O18 | PBE with a Hubbard U | relaxed

- energy of formation (meV/atom) = -2504
- magnetization (μB/f.u.) = 27.91
- distance to the lowest polymorph of the same formula (meV per atom) = 60
- E (MP2020) (eV/atom) = -8.92
- ρ (g/cm³) = 4.39

a b c (Å): 5.389 5.413 15.180
angles (deg): 90.82 99.78 117.92
Space group P1 (No. 1)
Asymmetric unit:
1 Mg 0.000 0.000 0.000 (multiplicity 1)
2 Mn 0.167 0.664 0.564 (multiplicity 1)
3 Mn 0.364 0.750 0.845 (multiplicity 1)
4 Mn 0.445 0.714 0.056 (multiplicity 1)
5 Mn 0.816 0.992 0.539 (multiplicity 1)
6 Mn 0.842 0.389 0.106 (multiplicity 1)
7 Mn 0.976 0.508 0.359 (multiplicity 1)
8 Nb 0.246 0.088 0.202 (multiplicity 1)
9 Nb 0.348 0.222 0.398 (multiplicity 1)
10 Nb 0.568 0.369 0.673 (multiplicity 1)
11 Nb 0.740 0.440 0.873 (multiplicity 1)
12 O 0.079 0.243 0.288 (multiplicity 1)
13 O 0.091 0.927 0.457 (multiplicity 1)
14 O 0.152 0.784 0.938 (multiplicity 1)
15 O 0.207 0.344 0.108 (multiplicity 1)
16 O 0.208 0.327 0.616 (multiplicity 1)
17 O 0.215 0.842 0.298 (multiplicity 1)
18 O 0.329 0.546 0.446 (multiplicity 1)
19 O 0.438 0.114 0.793 (multiplicity 1)
20 O 0.510 0.049 0.138 (multiplicity 1)
21 O 0.540 0.040 0.615 (multiplicity 1)
22 O 0.578 0.630 0.944 (multiplicity 1)
23 O 0.579 0.646 0.779 (multiplicity 1)
24 O 0.602 0.398 0.292 (multiplicity 1)
25 O 0.738 0.279 0.447 (multiplicity 1)
26 O 0.781 0.213 0.967 (multiplicity 1)
27 O 0.813 0.649 0.609 (multiplicity 1)
28 O 0.904 0.791 0.115 (multiplicity 1)
29 O 0.960 0.474 0.780 (multiplicity 1)

***

(3)
MgMn4Ni2O8 | PBE with a Hubbard U | relaxed

- energy of formation (meV/atom) = -1716
- magnetization (μB/f.u.) = 22.00
- distance to the lowest polymorph of the same formula (meV per atom) = 65
- E (MP2020) (eV/atom) = -7.68
- ρ (g/cm³) = 4.75

a b c (Å): 6.128 6.614 8.448
angles (deg): 90.00 90.00 90.00
Space group Imm2 (No. 44)
Asymmetric unit:
1 Mg 0.000 0.000 0.000 (multiplicity 2)
2 Mn 0.000 0.000 0.681 (multiplicity 2)
3 Mn 0.000 0.263 0.260 (multiplicity 4)
4 Mn 0.000 0.500 0.576 (multiplicity 2)
5 Ni 0.221 0.500 0.952 (multiplicity 4)
6 O 0.000 0.199 0.485 (multiplicity 4)
7 O 0.000 0.300 0.029 (multiplicity 4)
8 O 0.219 0.000 0.218 (multiplicity 4)
9 O 0.234 0.500 0.316 (multiplicity 4)

***

(4)
MgMn5NiO12 | PBE with a Hubbard U | relaxed

- energy of formation (meV/atom) = -1785
- magnetization (μB/f.u.) = 15.00
- distance to the lowest polymorph of the same formula (meV per atom) = 5
- E (MP2020) (eV/atom) = -7.71
- ρ (g/cm³) = 4.07

a b c (Å): 5.032 5.104 10.083
angles (deg): 83.58 85.08 60.64
Space group P1 (No. 1)
Asymmetric unit:
1 Mg 0.000 0.000 0.000 (multiplicity 1)
2 Mn 0.152 0.900 0.727 (multiplicity 1)
3 Mn 0.488 0.232 0.740 (multiplicity 1)
4 Mn 0.635 0.966 0.248 (multiplicity 1)
5 Mn 0.815 0.567 0.736 (multiplicity 1)
6 Mn 0.966 0.298 0.247 (multiplicity 1)
7 Ni 0.302 0.631 0.247 (multiplicity 1)
8 O 0.143 0.198 0.840 (multiplicity 1)
9 O 0.163 0.576 0.642 (multiplicity 1)
10 O 0.295 0.284 0.338 (multiplicity 1)
11 O 0.300 0.976 0.145 (multiplicity 1)
12 O 0.470 0.555 0.835 (multiplicity 1)
13 O 0.491 0.928 0.641 (multiplicity 1)
14 O 0.625 0.614 0.338 (multiplicity 1)
15 O 0.680 0.280 0.136 (multiplicity 1)
16 O 0.818 0.912 0.848 (multiplicity 1)
17 O 0.822 0.222 0.634 (multiplicity 1)
18 O 0.934 0.974 0.345 (multiplicity 1)
19 O 0.983 0.660 0.145 (multiplicity 1)

***

(5)
MgMn4Ni2O8 | PBE with a Hubbard U | relaxed

- energy of formation (meV/atom) = -1160
- magnetization (μB/f.u.) = 14.00
- distance to the lowest polymorph of the same formula (meV per atom) = 622
- E (MP2020) (eV/atom) = -7.12
- ρ (g/cm³) = 4.40

a b c (Å): 9.043 9.043 9.043
angles (deg): 90.00 90.00 90.00
Space group F-43m (No. 216)
Asymmetric unit:
1 Mg 0.000 0.000 0.000 (multiplicity 4)
2 Mn 0.143 0.143 0.143 (multiplicity 16)
3 Ni 0.000 0.000 0.500 (multiplicity 4)
4 Ni 0.250 0.250 0.750 (multiplicity 4)
5 O 0.123 0.123 0.877 (multiplicity 16)
6 O 0.126 0.126 0.374 (multiplicity 16)

***

(6)
MgMn4Ni2O8 | PBE with a Hubbard U | relaxed

- energy of formation (meV/atom) = -1782
- magnetization (μB/f.u.) = 14.00
- distance to the lowest polymorph of the same formula (meV per atom) = 0
- E (MP2020) (eV/atom) = -7.74
- ρ (g/cm³) = 4.86

a b c (Å): 10.255 6.063 6.527
angles (deg): 90.00 124.56 90.00
Space group C2/m (No. 12)
Asymmetric unit:
1 Mg 0.000 0.000 0.000 (multiplicity 2)
2 Mn 0.152 0.000 0.468 (multiplicity 4)
3 Mn 0.250 0.250 0.000 (multiplicity 4)
4 Ni 0.000 0.500 0.000 (multiplicity 2)
5 Ni 0.000 0.500 0.500 (multiplicity 2)
6 O 0.013 0.250 0.773 (multiplicity 8)
7 O 0.233 0.500 0.168 (multiplicity 4)
8 O 0.249 0.000 0.260 (multiplicity 4)

***

(7)
Mg6MnNiO8 | PBE with a Hubbard U | relaxed

- energy of formation (meV/atom) = -2660
- magnetization (μB/f.u.) = 7.00
- E (MP2020) (eV/atom) = -6.67
- ρ (g/cm³) = 4.07

a b c (Å): 4.294 4.294 8.574
angles (deg): 90.00 90.00 90.00
Space group P4/mmm (No. 123)
Asymmetric unit:
1 Mg 0.000 0.000 0.000 (multiplicity 1)
2 Mg 0.000 0.000 0.500 (multiplicity 1)
3 Mg 0.000 0.500 0.247 (multiplicity 4)
4 Mn 0.500 0.500 0.500 (multiplicity 1)
5 Ni 0.500 0.500 0.000 (multiplicity 1)
6 O 0.000 0.000 0.250 (multiplicity 2)
7 O 0.000 0.500 0.000 (multiplicity 2)
8 O 0.000 0.500 0.500 (multiplicity 2)
9 O 0.500 0.500 0.242 (multiplicity 2)

***

(8)
MgMn4NiO8 | PBE with a Hubbard U | relaxed

- energy of formation (meV/atom) = -1946
- magnetization (μB/f.u.) = 17.98
- distance to the lowest polymorph of the same formula (meV per atom) = 19
- E (MP2020) (eV/atom) = -7.92
- ρ (g/cm³) = 4.58

a b c (Å): 5.938 5.982 5.997
angles (deg): 93.80 116.97 118.25
Space group P-1 (No. 2)
Asymmetric unit:
1 Mg 0.000 0.000 0.000 (multiplicity 1)
2 Mn 0.000 0.000 0.500 (multiplicity 1)
3 Mn 0.000 0.500 0.500 (multiplicity 1)
4 Mn 0.500 0.000 0.500 (multiplicity 1)
5 Mn 0.500 0.500 0.000 (multiplicity 1)
6 Ni 0.500 0.500 0.500 (multiplicity 1)
7 O 0.012 0.227 0.756 (multiplicity 2)
8 O 0.023 0.244 0.300 (multiplicity 2)
9 O 0.444 0.225 0.703 (multiplicity 2)
10 O 0.467 0.742 0.719 (multiplicity 2)